No. 1
First-principles (PBE-GGA) data for a relaxed structure of RbCa2Ta3O10, as listed in the Materials Project.

Results
Formation energy   -3.317 eV/atom
DFT total energy   -136.25 eV for the cell shown

Cell: 3.941 3.941 15.313 Å, 90.00 90.00 90.00°
Element x y z (fractional)
Rb 0.000 0.000 0.000
Ca 0.000 0.000 0.350
Ca 0.000 0.000 0.650
Ta 0.500 0.500 0.220
Ta 0.500 0.500 0.500
Ta 0.500 0.500 0.780
O 0.000 0.500 0.247
O 0.000 0.500 0.500
O 0.000 0.500 0.753
O 0.500 0.000 0.247
O 0.500 0.000 0.500
O 0.500 0.000 0.753
O 0.500 0.500 0.103
O 0.500 0.500 0.371
O 0.500 0.500 0.629
O 0.500 0.500 0.897

No. 2
First-principles (PBE-GGA) data for a relaxed structure of Na14Ca6Hf2Si5S7O48, as listed in the Materials Project.

Results
Formation energy   -2.645 eV/atom
DFT total energy   -1583.94 eV for the cell shown

Cell: 9.448 16.354 23.110 Å, 89.79 89.92 89.88°
Element x y z (fractional)
Na 0.000 0.000 0.000
Na 0.001 0.034 0.339
Na 0.010 0.335 0.016
Na 0.015 0.653 0.355
Na 0.124 0.151 0.856
Na 0.125 0.840 0.508
Na 0.128 0.503 0.492
Na 0.135 0.532 0.858
Na 0.140 0.185 0.508
Na 0.152 0.840 0.165
Na 0.192 0.859 0.862
Na 0.291 0.009 0.931
Na 0.304 0.998 0.430
Na 0.309 0.346 0.591
Na 0.310 0.341 0.082
Na 0.311 0.675 0.260
Na 0.322 0.703 0.762
Na 0.445 0.845 0.342
Na 0.461 0.189 0.024
Na 0.463 0.494 0.023
Na 0.466 0.509 0.671
Na 0.482 0.861 0.002
Na 0.493 0.519 0.347
Na 0.513 0.168 0.336
Na 0.513 0.204 0.677
Na 0.623 0.708 0.176
Na 0.627 0.672 0.847
Na 0.641 0.018 0.854
Na 0.656 0.354 0.494
Na 0.671 0.994 0.517
Na 0.676 0.696 0.518
Na 0.685 0.006 0.170
Na 0.688 0.342 0.852
Na 0.820 0.170 0.763
Na 0.826 0.184 0.252
Na 0.826 0.845 0.581
Na 0.830 0.496 0.940
Na 0.834 0.856 0.097
Na 0.839 0.507 0.419
Na 0.940 0.353 0.355
Na 0.972 0.325 0.668
Na 0.995 0.689 0.016
Ca 0.308 0.009 0.269
Ca 0.308 0.681 0.419
Ca 0.309 0.677 0.110
Ca 0.310 0.685 0.919
Ca 0.313 0.688 0.609
Ca 0.315 0.009 0.781
Ca 0.315 0.350 0.442
Ca 0.318 0.345 0.946
Ca 0.324 0.348 0.743
Ca 0.815 0.508 0.773
Ca 0.815 0.851 0.241
Ca 0.819 0.846 0.444
Ca 0.820 0.508 0.280
Ca 0.820 0.849 0.944
Ca 0.824 0.176 0.609
Ca 0.826 0.183 0.416
Ca 0.827 0.183 0.110
Ca 0.829 0.181 0.922
Hf 0.299 0.011 0.084
Hf 0.308 0.005 0.578
Hf 0.327 0.351 0.248
Hf 0.807 0.852 0.747
Hf 0.822 0.510 0.579
Hf 0.827 0.505 0.080
Si 0.005 0.014 0.185
Si 0.007 0.675 0.510
Si 0.132 0.174 0.009
Si 0.158 0.528 0.007
Si 0.159 0.837 0.015
Si 0.172 0.499 0.345
Si 0.467 0.860 0.182
Si 0.469 0.833 0.508
Si 0.515 0.843 0.849
Si 0.621 0.343 0.349
Si 0.663 0.361 0.681
Si 0.667 0.333 0.008
Si 0.962 0.999 0.845
Si 0.975 0.028 0.507
Si 0.976 0.335 0.517
S 0.016 0.348 0.842
S 0.117 0.511 0.678
S 0.123 0.845 0.345
S 0.155 0.864 0.681
S 0.175 0.200 0.342
S 0.177 0.161 0.679
S 0.462 0.169 0.181
S 0.468 0.501 0.843
S 0.474 0.196 0.842
S 0.478 0.526 0.518
S 0.505 0.173 0.517
S 0.520 0.508 0.181
S 0.614 0.008 0.680
S 0.630 0.672 0.016
S 0.654 0.026 0.015
S 0.660 0.001 0.347
S 0.663 0.695 0.344
S 0.669 0.665 0.681
S 0.957 0.659 0.179
S 0.962 0.700 0.840
S 0.981 0.366 0.181
O 0.000 0.510 0.340
O 0.010 0.195 0.056
O 0.011 0.514 0.630
O 0.018 0.193 0.339
O 0.022 0.172 0.676
O 0.031 0.843 0.293
O 0.037 0.847 0.398
O 0.041 0.521 0.734
O 0.052 0.150 0.948
O 0.084 0.021 0.247
O 0.087 0.648 0.450
O 0.100 0.346 0.788
O 0.108 0.350 0.893
O 0.112 0.671 0.175
O 0.120 0.694 0.838
O 0.124 0.691 0.560
O 0.132 0.015 0.132
O 0.134 0.010 0.840
O 0.141 0.359 0.180
O 0.147 0.349 0.513
O 0.151 0.025 0.527
O 0.155 0.582 0.946
O 0.187 0.429 0.675
O 0.190 0.776 0.069
O 0.199 0.915 0.629
O 0.203 0.432 0.005
O 0.203 0.452 0.405
O 0.203 0.905 0.733
O 0.214 0.771 0.343
O 0.214 0.921 0.346
O 0.218 0.122 0.733
O 0.219 0.237 0.398
O 0.220 0.782 0.677
O 0.223 0.252 0.293
O 0.225 0.576 0.672
O 0.231 0.802 0.955
O 0.232 0.112 0.629
O 0.234 0.435 0.291
O 0.236 0.929 0.023
O 0.237 0.095 0.023
O 0.238 0.253 0.007
O 0.243 0.118 0.339
O 0.247 0.244 0.674
O 0.258 0.586 0.339
O 0.259 0.574 0.054
O 0.386 0.809 0.448
O 0.390 0.251 0.183
O 0.391 0.925 0.527
O 0.396 0.768 0.177
O 0.397 0.582 0.847
O 0.403 0.123 0.130
O 0.405 0.242 0.511
O 0.411 0.925 0.129
O 0.413 0.111 0.841
O 0.413 0.238 0.893
O 0.418 0.096 0.526
O 0.418 0.898 0.243
O 0.419 0.462 0.789
O 0.421 0.564 0.571
O 0.421 0.926 0.844
O 0.422 0.759 0.842
O 0.425 0.441 0.514
O 0.428 0.432 0.183
O 0.431 0.582 0.173
O 0.432 0.124 0.235
O 0.434 0.449 0.893
O 0.439 0.241 0.788
O 0.448 0.764 0.558
O 0.449 0.575 0.466
O 0.488 0.359 0.673
O 0.495 0.340 0.295
O 0.496 0.021 0.021
O 0.500 0.356 0.007
O 0.504 0.014 0.345
O 0.506 0.689 0.348
O 0.512 0.668 0.678
O 0.518 0.000 0.629
O 0.530 0.015 0.733
O 0.534 0.347 0.410
O 0.538 0.687 0.066
O 0.545 0.657 0.962
O 0.592 0.159 0.465
O 0.592 0.187 0.569
O 0.602 0.516 0.234
O 0.602 0.845 0.909
O 0.615 0.178 0.175
O 0.617 0.499 0.129
O 0.626 0.514 0.843
O 0.631 0.190 0.847
O 0.637 0.854 0.506
O 0.639 0.521 0.523
O 0.640 0.839 0.794
O 0.641 0.855 0.173
O 0.684 0.073 0.961
O 0.691 0.262 0.056
O 0.693 0.952 0.399
O 0.700 0.742 0.291
O 0.702 0.082 0.674
O 0.705 0.621 0.735
O 0.706 0.933 0.683
O 0.711 0.941 0.012
O 0.713 0.958 0.294
O 0.714 0.399 0.742
O 0.714 0.426 0.344
O 0.715 0.067 0.066
O 0.715 0.259 0.341
O 0.715 0.594 0.026
O 0.720 0.735 0.397
O 0.722 0.427 0.629
O 0.724 0.611 0.342
O 0.726 0.620 0.630
O 0.730 0.740 0.009
O 0.732 0.082 0.349
O 0.732 0.269 0.676
O 0.733 0.749 0.682
O 0.747 0.424 0.028
O 0.748 0.312 0.947
O 0.875 0.086 0.840
O 0.878 0.073 0.555
O 0.882 0.740 0.174
O 0.886 0.087 0.179
O 0.898 0.299 0.458
O 0.898 0.596 0.526
O 0.898 0.937 0.790
O 0.900 0.429 0.524
O 0.901 0.616 0.835
O 0.903 0.609 0.130
O 0.904 0.755 0.507
O 0.912 0.735 0.894
O 0.916 0.283 0.175
O 0.916 0.752 0.790
O 0.921 0.619 0.234
O 0.923 0.274 0.843
O 0.926 0.424 0.844
O 0.928 0.933 0.504
O 0.931 0.924 0.175
O 0.932 0.404 0.233
O 0.933 0.950 0.905
O 0.939 0.417 0.129
O 0.947 0.278 0.573
O 0.981 0.082 0.447
O 0.983 0.527 0.027
O 0.987 0.849 0.013
O 0.996 0.857 0.680

No. 3
First-principles (PBE-GGA) data for a relaxed structure of Ca3Ti8S16, as listed in the Materials Project.

Results
Formation energy   -1.815 eV/atom
DFT total energy   -176.31 eV for the cell shown

Cell: 6.901 6.901 13.597 Å, 90.57 90.57 60.79°
Element x y z (fractional)
Ca 0.000 0.000 0.000
Ca 0.000 0.500 0.500
Ca 0.500 0.000 0.500
Ti 0.003 0.003 0.748
Ti 0.010 0.500 0.246
Ti 0.495 0.495 0.248
Ti 0.500 0.010 0.246
Ti 0.500 0.990 0.754
Ti 0.505 0.505 0.752
Ti 0.990 0.500 0.754
Ti 0.997 0.997 0.252
S 0.169 0.169 0.357
S 0.169 0.169 0.858
S 0.169 0.668 0.854
S 0.170 0.668 0.357
S 0.331 0.331 0.646
S 0.332 0.332 0.141
S 0.332 0.830 0.643
S 0.332 0.831 0.146
S 0.668 0.169 0.854
S 0.668 0.170 0.357
S 0.668 0.668 0.859
S 0.669 0.669 0.354
S 0.830 0.332 0.643
S 0.831 0.332 0.146
S 0.831 0.831 0.142
S 0.831 0.831 0.643

No. 4
First-principles (PBE-GGA) data for a relaxed structure of RbMo3Br7, as listed in the Materials Project.

Results
Formation energy   -1.227 eV/atom
DFT total energy   -218.94 eV for the cell shown

Cell: 12.928 12.928 10.467 Å, 111.20 111.20 72.56°
Element x y z (fractional)
Rb 0.022 0.978 0.500
Rb 0.426 0.579 0.258
Rb 0.579 0.426 0.758
Rb 0.978 0.022 0.000
Mo 0.055 0.346 0.454
Mo 0.068 0.518 0.386
Mo 0.137 0.519 0.657
Mo 0.346 0.055 0.954
Mo 0.486 0.868 0.860
Mo 0.487 0.938 0.132
Mo 0.518 0.068 0.886
Mo 0.519 0.137 0.157
Mo 0.659 0.951 0.063
Mo 0.868 0.486 0.360
Mo 0.938 0.487 0.632
Mo 0.951 0.659 0.563
Br 0.020 0.660 0.832
Br 0.121 0.126 0.870
Br 0.123 0.348 0.722
Br 0.126 0.121 0.370
Br 0.150 0.691 0.586
Br 0.156 0.543 0.211
Br 0.254 0.380 0.481
Br 0.315 0.856 0.932
Br 0.327 0.540 0.870
Br 0.346 0.986 0.685
Br 0.348 0.123 0.222
Br 0.380 0.254 0.981
Br 0.464 0.850 0.308
Br 0.465 0.679 0.648
Br 0.540 0.327 0.370
Br 0.543 0.156 0.711
Br 0.625 0.752 0.037
Br 0.657 0.883 0.794
Br 0.660 0.020 0.332
Br 0.679 0.465 0.148
Br 0.691 0.150 0.086
Br 0.752 0.625 0.537
Br 0.850 0.464 0.808
Br 0.856 0.315 0.432
Br 0.875 0.883 0.637
Br 0.883 0.657 0.294
Br 0.883 0.875 0.137
Br 0.986 0.346 0.185

No. 5
First-principles (PBE-GGA) data for a relaxed structure of PrBrO, as listed in the Materials Project.

Results
Formation energy   -3.050 eV/atom
DFT total energy   -39.66 eV for the cell shown

Cell: 10.516 10.516 10.516 Å, 22.34 22.34 22.34°
Element x y z (fractional)
Pr 0.216 0.216 0.216
Pr 0.784 0.784 0.784
Br 0.387 0.387 0.387
Br 0.613 0.613 0.613
O 0.138 0.138 0.138
O 0.862 0.862 0.862

No. 6
First-principles (PBE-GGA) data for a relaxed structure of Ca2Ga2SiH2O8, as listed in the Materials Project.

Results
Formation energy   -2.656 eV/atom
Piezoelectric modulus e_max   0.14 C/m2
ΔE to the lowest computed polymorph   0.00 kcal/mol of atoms
DFT total energy   -192.40 eV for the cell shown

Cell: 7.826 7.826 7.826 Å, 109.40 109.40 109.61°
Element x y z (fractional)
Ca 0.029 0.534 0.778
Ca 0.466 0.245 0.495
Ca 0.749 0.971 0.505
Ca 0.755 0.251 0.222
Ga 0.249 0.495 0.243
Ga 0.253 0.006 0.757
Ga 0.505 0.747 0.753
Ga 0.994 0.751 0.247
Si 0.000 0.000 0.000
Si 0.500 0.500 0.000
H 0.100 0.235 0.512
H 0.413 0.900 0.136
H 0.723 0.587 0.488
H 0.765 0.277 0.864
O 0.010 0.512 0.201
O 0.018 0.978 0.790
O 0.022 0.813 0.041
O 0.187 0.228 0.210
O 0.191 0.990 0.502
O 0.309 0.520 0.036
O 0.311 0.809 0.799
O 0.480 0.515 0.789
O 0.485 0.274 0.964
O 0.488 0.689 0.498
O 0.523 0.019 0.273
O 0.726 0.691 0.211
O 0.746 0.250 0.727
O 0.750 0.477 0.496
O 0.772 0.982 0.959
O 0.981 0.254 0.504

No. 7
First-principles (PBE-GGA) data for a relaxed structure of Ga3Ge, as listed in the Materials Project.

Results
Formation energy   0.096 eV/atom
ΔE to the lowest computed polymorph   0.19 kcal/mol of atoms
DFT total energy   -26.65 eV for the cell shown

Cell: 6.181 6.181 4.727 Å, 90.00 90.00 120.00°
Element x y z (fractional)
Ga 0.166 0.333 0.250
Ga 0.166 0.834 0.250
Ga 0.333 0.166 0.750
Ga 0.667 0.834 0.250
Ga 0.834 0.166 0.750
Ga 0.834 0.667 0.750
Ge 0.333 0.667 0.750
Ge 0.667 0.333 0.250

No. 8
First-principles (PBE-GGA) data for a relaxed structure of TmSi2Ru2, as listed in the Materials Project.

Results
Formation energy   -0.908 eV/atom
DFT total energy   -38.42 eV for the cell shown

Cell: 5.586 5.586 5.586 Å, 136.13 136.13 63.78°
Element x y z (fractional)
Tm 0.000 0.000 0.000
Si 0.369 0.369 0.000
Si 0.631 0.631 0.000
Ru 0.250 0.750 0.500
Ru 0.750 0.250 0.500

No. 9
First-principles (PBE-GGA) data for a relaxed structure of NaSe, as listed in the Materials Project.

Results
Formation energy   -1.061 eV/atom
DFT total energy   -25.88 eV for the cell shown

Cell: 4.726 4.726 10.788 Å, 90.00 90.00 120.00°
Element x y z (fractional)
Na 0.000 0.000 0.000
Na 0.000 0.000 0.500
Na 0.333 0.667 0.250
Na 0.667 0.333 0.750
Se 0.333 0.667 0.635
Se 0.333 0.667 0.865
Se 0.667 0.333 0.135
Se 0.667 0.333 0.365